A plane-wave DFT calculation with GGA-PBE was carried out for crystalline Na14Al4In4Si7S5O48 at its relaxed geometry.

The structure in extended XYZ format:
```
246
Lattice="8.988 0.000 0.000 -0.029 15.589 0.000 -0.063 -0.108 22.141" Properties=species:S:1:pos:R:3 pbc="T T T"
Na 0.000 0.000 0.000
Na -0.006 0.432 7.069
Na -0.030 5.718 21.746
Na 0.095 5.058 14.538
Na 0.125 10.506 6.969
Na 1.077 2.624 18.136
Na 1.117 13.033 3.408
Na 1.219 13.592 10.600
Na 1.250 8.187 18.412
Na 1.284 7.741 10.813
Na 1.551 2.908 10.866
Na 1.664 8.158 3.468
Na 1.635 13.253 18.474
Na 2.765 10.707 5.379
Na 2.803 5.313 12.604
Na 2.852 0.109 20.160
Na 2.960 0.133 8.932
Na 3.009 5.502 1.535
Na 2.950 10.622 16.488
Na 4.048 8.090 14.598
Na 4.093 13.403 7.302
Na 4.198 2.854 0.002
Na 4.425 8.222 7.205
Na 4.419 13.531 21.815
Na 4.602 2.669 6.937
Na 4.590 12.830 14.512
Na 5.631 5.047 3.425
Na 5.594 10.443 18.147
Na 5.745 5.737 10.633
Na 5.793 0.375 18.371
Na 6.040 10.636 10.919
Na 6.094 5.490 18.500
Na 6.313 0.363 3.533
Na 7.210 13.285 12.567
Na 7.245 7.890 20.100
Na 7.341 2.751 5.293
Na 7.352 7.963 8.973
Na 7.445 2.803 16.487
Na 7.480 13.285 1.657
Na 8.553 5.498 7.319
Na 8.571 0.313 14.544
Na 8.625 10.672 22.037
Al 2.744 0.206 16.896
Al 2.849 5.698 9.329
Al 2.888 0.288 5.657
Al 2.904 0.310 1.203
Al 2.847 10.655 19.742
Al 2.917 10.664 8.618
Al 7.245 8.024 16.819
Al 7.257 8.075 12.165
Al 7.317 2.802 19.731
Al 7.348 2.916 8.655
Al 7.321 13.483 20.425
Al 7.479 8.053 5.813
In 2.684 10.730 1.976
In 2.751 5.446 16.111
In 2.846 0.294 12.169
In 2.900 5.643 20.447
In 2.957 5.419 5.010
In 3.019 10.562 13.032
In 7.237 13.174 16.091
In 7.307 2.765 2.076
In 7.266 13.527 9.309
In 7.392 8.134 1.104
In 7.538 2.858 13.020
In 7.552 13.397 4.934
Si 0.021 5.419 18.209
Si 0.427 0.383 3.450
Si 1.185 13.232 7.193
Si 1.420 12.959 21.833
Si 1.536 7.835 7.177
Si 1.546 8.347 21.882
Si 1.644 2.521 14.620
Si 4.053 2.513 3.451
Si 4.182 8.314 10.790
Si 4.187 12.921 10.814
Si 4.228 7.853 18.140
Si 4.604 13.208 18.255
Si 5.590 5.467 7.207
Si 5.939 0.131 7.090
Si 5.977 0.482 21.844
Si 6.023 5.026 21.903
Si 6.172 10.232 14.518
Si 8.588 10.349 3.552
Si 8.643 0.601 10.818
Si 8.681 -0.012 18.230
Si 8.741 5.239 10.824
S 0.231 10.590 10.859
S 0.844 8.099 14.512
S 0.957 2.777 21.862
S 1.517 3.198 7.269
S 1.524 13.539 14.621
S 4.148 13.655 3.435
S 4.205 3.029 18.212
S 4.761 2.932 10.757
S 4.801 8.134 3.544
S 5.437 0.288 14.611
S 5.421 10.667 21.815
S 6.014 10.896 7.147
S 6.075 5.830 14.504
S 8.688 5.842 3.565
S 8.678 10.885 18.264
O -0.036 2.650 14.675
O 0.005 7.958 13.293
O 0.043 3.032 7.443
O 0.044 8.119 15.764
O 0.048 13.459 14.732
O 0.087 2.604 20.658
O 0.219 3.151 0.932
O 0.223 13.556 8.485
O 0.281 12.756 5.913
O 0.891 4.980 16.886
O 0.989 5.788 19.478
O 1.035 10.834 12.085
O 1.095 10.390 9.667
O 1.175 5.760 3.680
O 1.165 10.722 18.438
O 1.282 0.367 4.844
O 1.279 10.478 3.606
O 1.346 0.158 2.106
O 1.315 0.582 10.729
O 1.344 0.132 18.106
O 1.388 5.339 10.567
O 1.558 12.223 1.104
O 1.639 4.030 6.043
O 1.697 9.318 14.503
O 1.741 6.885 14.500
O 1.769 6.792 8.411
O 1.771 14.292 13.363
O 1.777 1.538 21.951
O 1.869 3.937 21.699
O 1.998 1.519 15.877
O 1.984 9.312 20.635
O 2.003 6.769 21.926
O 2.074 14.598 6.954
O 2.140 1.866 7.148
O 2.141 1.938 13.178
O 2.125 14.237 15.803
O 2.173 3.889 8.423
O 2.156 11.906 7.402
O 2.149 12.192 14.584
O 2.209 8.942 1.183
O 2.136 14.443 22.002
O 2.217 9.313 7.442
O 2.202 12.168 20.628
O 2.244 4.068 14.628
O 2.265 7.254 5.821
O 3.380 8.731 12.175
O 3.438 4.066 3.437
O 3.448 14.390 10.831
O 3.458 7.282 16.777
O 3.478 12.089 9.604
O 3.515 12.301 3.373
O 3.485 9.291 18.429
O 3.515 3.591 19.400
O 3.568 6.806 10.593
O 3.581 14.284 4.660
O 3.619 1.756 2.062
O 3.623 1.668 18.014
O 3.609 11.917 18.504
O 3.721 1.637 4.779
O 3.703 14.602 18.052
O 3.845 14.432 2.197
O 3.848 4.113 10.625
O 3.874 6.946 3.563
O 3.890 9.378 9.586
O 3.923 1.710 10.794
O 3.992 9.376 3.509
O 3.986 12.190 12.288
O 4.043 3.929 17.041
O 4.197 6.696 19.282
O 4.322 0.328 6.870
O 4.327 0.356 22.026
O 4.385 5.021 21.796
O 4.492 5.746 8.409
O 4.480 10.348 14.596
O 4.533 10.729 7.299
O 4.550 10.528 20.627
O 4.592 0.306 15.829
O 4.593 5.766 14.575
O 4.643 0.078 13.375
O 4.700 10.998 0.917
O 4.814 5.039 5.825
O 5.362 12.757 16.861
O 5.532 3.168 12.018
O 5.595 7.919 2.308
O 5.618 13.550 3.519
O 5.642 2.813 9.590
O 5.648 8.149 4.764
O 5.719 2.687 3.536
O 5.673 2.875 18.370
O 5.720 13.468 19.433
O 5.816 12.908 10.697
O 5.837 8.202 10.948
O 5.848 8.067 17.981
O 5.879 14.607 8.292
O 6.206 11.811 6.002
O 6.252 1.529 14.576
O 6.270 1.508 20.593
O 6.261 9.444 21.849
O 6.362 4.381 1.190
O 6.332 14.683 14.625
O 6.324 11.849 21.668
O 6.408 6.619 13.278
O 6.494 6.862 7.000
O 6.531 9.324 15.824
O 6.590 4.189 7.459
O 6.587 9.527 6.952
O 6.569 14.556 21.649
O 6.641 6.467 15.731
O 6.643 9.457 13.150
O 6.693 1.570 7.392
O 6.669 11.425 8.371
O 6.672 4.476 14.450
O 6.716 15.119 5.779
O 6.717 4.262 20.631
O 6.722 6.523 21.905
O 6.746 11.782 14.525
O 6.848 1.034 1.050
O 7.941 4.479 9.621
O 7.959 11.855 3.573
O 7.942 15.018 16.850
O 8.006 1.471 18.494
O 7.996 11.511 19.418
O 8.058 4.515 3.526
O 8.052 1.059 12.285
O 8.047 6.749 11.034
O 8.051 4.096 18.435
O 8.090 6.538 4.747
O 8.125 9.753 2.099
O 8.091 9.523 18.085
O 8.130 6.803 17.931
O 8.155 14.617 10.838
O 8.215 1.622 9.621
O 8.249 9.335 4.803
O 8.300 11.737 10.709
O 8.376 14.636 3.395
O 8.439 1.706 3.494
O 8.397 9.334 10.973
O 8.397 14.510 19.431
O 8.465 6.602 2.303
O 8.549 11.729 17.048
O 8.652 4.419 12.252
O 8.769 13.058 21.573
O 8.875 7.978 7.049
O 8.876 8.330 21.784
```

space-group type	P1 (1)
DFT formation energy	-2.495	eV/atom
calculated density	3.23	g/cm3